[1]
SbOF | PBE | relaxed

Values from the calculation:
- Magnetic moment: 0.000 μB per formula unit
- E_form: -6.4 eV per formula unit

a b c (Å): 10.2605 10.2605 4.5482
angles (deg): 90.00 90.00 90.00
Last column: nearest neighbours and their distance in Å.
Space group P-42_1c (No. 114)
One atom of each set of equivalent atoms:
Sb: 0.0391 0.2314 0.1324  2 O 1.96-2.00, 1 F 1.97
O: 0.1199 0.8740 0.1701  2 Sb 1.96-2.00
F: 0.0287 0.6642 0.8038  1 Sb 1.97

[2]
SbOF | PBE | relaxed

Values from the calculation:
- Magnetic moment: 0.000 μB per formula unit
- E_form: -6.4 eV per formula unit

a b c (Å): 5.4916 13.4991 12.5684
angles (deg): 90.00 90.00 90.00
Last column: nearest neighbours and their distance in Å.
Space group Pbca (No. 61)
One atom of each set of equivalent atoms:
Sb: 0.2102 0.2308 0.0960  2 O 1.98-2.00, 1 F 2.01
Sb: 0.2413 0.0168 0.8351  2 O 1.97-2.03, 1 F 2.01
O: 0.0177 0.2035 0.4805  2 Sb 1.98-2.00
O: 0.0622 0.5790 0.7160  2 Sb 1.97-2.03
F: 0.0752 0.1004 0.0465  1 Sb 2.01
F: 0.1571 0.6040 0.2485  1 Sb 2.01

[3]
SbOF3 | PBE | relaxed

Values from the calculation:
- Magnetic moment: 0.000 μB per formula unit
- E_form: -11.3 eV per formula unit
- Energy relative to the lowest polymorph listed for this composition: 75 meV/atom

a b c (Å): 7.5018 5.5881 9.4844
angles (deg): 90.00 112.72 90.00
Last column: nearest neighbours and their distance in Å.
Space group P2_1/c (No. 14)
One atom of each set of equivalent atoms:
Sb: 0.1898 0.0748 0.4939  3 F 1.88-1.90, 2 O 1.96-2.02
O: 0.0373 0.7256 0.9904  2 Sb 1.96-2.02
F: 0.1979 0.5093 0.8033  1 Sb 1.89
F: 0.3208 0.1365 0.9904  1 Sb 1.90
F: 0.4052 0.5334 0.1629  1 Sb 1.88

[4]
USb3O2F17 | PBE | relaxed

Values from the calculation:
- Magnetic moment: 0.000 μB per formula unit
- E_form: -65.4 eV per formula unit

a b c (Å): 11.3305 12.6489 13.4083
angles (deg): 90.00 120.92 90.00
Last column: nearest neighbours and their distance in Å.
Space group P2_1/c (No. 14)
One atom of each set of equivalent atoms:
U: 0.0654 0.0954 0.3244  2 O 1.77
Sb: 0.1932 0.0956 0.9899  6 F 1.88-2.02
Sb: 0.2402 0.7030 0.9152  6 F 1.88-2.03
Sb: 0.3537 0.1470 0.6942  5 F 1.88-1.99
O: 0.0660 0.5964 0.1410  1 U 1.77
O: 0.1977 0.0934 0.2910  1 U 1.77
F: 0.0435 0.1170 0.0117  1 Sb 1.88
F: 0.0647 0.7105 0.3328  1 Sb 2.03
F: 0.0787 0.0118 0.8494  1 Sb 1.96
F: 0.1118 0.5803 0.8900  1 Sb 2.03
F: 0.1281 0.2221 0.8902  1 Sb 1.97
F: 0.1856 0.1578 0.6918  1 Sb 1.89
F: 0.1982 0.6691 0.7627  1 Sb 1.89
F: 0.2348 0.7306 0.0508  1 Sb 1.88
F: 0.2355 0.1033 0.5286  1 Sb 1.99
F: 0.2587 0.5206 0.5913  1 Sb 1.88
F: 0.3024 0.1972 0.1222  2 Sb 2.02-2.14
F: 0.3372 0.6729 0.4233  1 Sb 1.89
F: 0.3404 0.0923 0.9634  1 Sb 1.88
F: 0.3885 0.6071 0.9882  1 Sb 1.89
F: 0.3896 0.0062 0.7456  1 Sb 1.88
F: 0.4508 0.2186 0.8370  1 Sb 1.88
F: 0.4956 0.1603 0.6614  1 Sb 1.88

[5]
SbXe2OF15 | PBE | relaxed

Values from the calculation:
- Magnetic moment: 0.002 μB per formula unit
- E_form: -24.3 eV per formula unit

a b c (Å): 5.7669 9.1464 12.6829
angles (deg): 90.00 102.76 90.00
Last column: nearest neighbours and their distance in Å.
Space group P2_1/m (No. 11)
One atom of each set of equivalent atoms:
Sb: 0.1870 0.2500 0.4344  6 F 1.89-1.97
Xe: 0.2015 0.7500 0.2919  5 F 1.95-1.98
Xe: 0.4118 0.2500 0.0945  1 O 1.83, 4 F 2.03
O: 0.3923 0.2500 0.9487  1 Xe 1.83
F: 0.0448 0.0992 0.7522  1 Xe 1.97
F: 0.0715 0.2500 0.5687  1 Sb 1.96
F: 0.1305 0.7500 0.6474  1 Sb 1.89
F: 0.1601 0.0923 0.0833  1 Xe 2.03
F: 0.1884 0.7500 0.1365  1 Xe 1.95
F: 0.2012 0.0421 0.4417  1 Sb 1.90
F: 0.3152 0.2500 0.3072  1 Sb 1.92
F: 0.3338 0.5924 0.8797  1 Xe 2.03
F: 0.4434 0.5983 0.2871  1 Xe 1.98
F: 0.4848 0.7500 0.4777  1 Sb 1.97

[6]
SbXeO2F7 | PBE | relaxed

Values from the calculation:
- Magnetic moment: 0.000 μB per formula unit
- E_form: -15.7 eV per formula unit

a b c (Å): 10.5343 5.9301 12.3516
angles (deg): 90.00 93.18 90.00
Last column: nearest neighbours and their distance in Å.
Space group P2_1/c (No. 14)
One atom of each set of equivalent atoms:
Sb: 0.1691 0.2093 0.1280  6 F 1.90-1.95
Xe: 0.3018 0.6836 0.3675  2 O 1.85, 1 F 2.03
O: 0.3724 0.0992 0.8892  1 Xe 1.85
O: 0.3896 0.6163 0.9581  1 Xe 1.85
F: 0.0110 0.6783 0.3724  1 Sb 1.91
F: 0.1512 0.1190 0.4981  1 Sb 1.90
F: 0.1603 0.0195 0.7162  1 Sb 1.95
F: 0.1797 0.0307 0.2597  1 Sb 1.94
F: 0.1830 0.5679 0.5440  1 Sb 1.95
F: 0.3492 0.2372 0.1345  1 Sb 1.90
F: 0.3923 0.7443 0.7303  1 Xe 2.03

The highest magnetic moment belongs to which entry? SbXe2OF15

What did the fifth record say?
SbXe2OF15 | PBE | relaxed

Values from the calculation:
- Magnetic moment: 0.002 μB per formula unit
- E_form: -24.3 eV per formula unit

a b c (Å): 5.7669 9.1464 12.6829
angles (deg): 90.00 102.76 90.00
Last column: nearest neighbours and their distance in Å.
Space group P2_1/m (No. 11)
One atom of each set of equivalent atoms:
Sb: 0.1870 0.2500 0.4344  6 F 1.89-1.97
Xe: 0.2015 0.7500 0.2919  5 F 1.95-1.98
Xe: 0.4118 0.2500 0.0945  1 O 1.83, 4 F 2.03
O: 0.3923 0.2500 0.9487  1 Xe 1.83
F: 0.0448 0.0992 0.7522  1 Xe 1.97
F: 0.0715 0.2500 0.5687  1 Sb 1.96
F: 0.1305 0.7500 0.6474  1 Sb 1.89
F: 0.1601 0.0923 0.0833  1 Xe 2.03
F: 0.1884 0.7500 0.1365  1 Xe 1.95
F: 0.2012 0.0421 0.4417  1 Sb 1.90
F: 0.3152 0.2500 0.3072  1 Sb 1.92
F: 0.3338 0.5924 0.8797  1 Xe 2.03
F: 0.4434 0.5983 0.2871  1 Xe 1.98
F: 0.4848 0.7500 0.4777  1 Sb 1.97

magnetic moment of number 4 (USb3O2F17)? 0.000 μB per formula unit

What did the first record say?
SbOF | PBE | relaxed

Values from the calculation:
- Magnetic moment: 0.000 μB per formula unit
- E_form: -6.4 eV per formula unit

a b c (Å): 10.2605 10.2605 4.5482
angles (deg): 90.00 90.00 90.00
Last column: nearest neighbours and their distance in Å.
Space group P-42_1c (No. 114)
One atom of each set of equivalent atoms:
Sb: 0.0391 0.2314 0.1324  2 O 1.96-2.00, 1 F 1.97
O: 0.1199 0.8740 0.1701  2 Sb 1.96-2.00
F: 0.0287 0.6642 0.8038  1 Sb 1.97